VASP calculation (meta-GGA r2SCAN) on an optimized crystal structure of ScNiP.

Calculated values
The energy comes out at -12.05 eV per atom. Its formation energy is -1.26 eV per atom.

Geometry as CIF:
```
data_ScNiP
_symmetry_space_group_name_H-M 'P n m a'
_symmetry_Int_Tables_number 62
_cell_length_a 6.335
_cell_length_b 3.733
_cell_length_c 7.039
_cell_angle_alpha 90.00
_cell_angle_beta 90.00
_cell_angle_gamma 90.00
loop_
_symmetry_equiv_pos_as_xyz
'x,y,z'
'-x,-y,-z'
'-x+1/2,-y,z+1/2'
'x+1/2,y,-z+1/2'
'x+1/2,-y+1/2,-z+1/2'
'-x+1/2,y+1/2,z+1/2'
'-x,y+1/2,-z'
'x,-y+1/2,z'
loop_
_atom_site_label
_atom_site_type_symbol
_atom_site_fract_x
_atom_site_fract_y
_atom_site_fract_z
Sc1 Sc 0.019 0.250 0.186
Ni1 Ni 0.141 0.250 0.561
P1 P 0.232 0.750 0.383
```

---

VASP calculation (meta-GGA r2SCAN) on an optimized crystal structure of Ho2Ge2O7.

Calculated values
The energy comes out at -15.17 eV per atom. Its formation energy is -2.87 eV per atom.

Geometry as CIF:
```
data_Ho2Ge2O7
_symmetry_space_group_name_H-M 'C 1 2/m 1'
_symmetry_Int_Tables_number 12
_cell_length_a 6.955
_cell_length_b 9.086
_cell_length_c 4.956
_cell_angle_alpha 90.00
_cell_angle_beta 102.18
_cell_angle_gamma 90.00
loop_
_symmetry_equiv_pos_as_xyz
'x,y,z'
'-x,-y,-z'
'-x,y,-z'
'x,-y,z'
'x+1/2,y+1/2,z'
'-x+1/2,-y+1/2,-z'
'-x+1/2,y+1/2,-z'
'x+1/2,-y+1/2,z'
loop_
_atom_site_label
_atom_site_type_symbol
_atom_site_fract_x
_atom_site_fract_y
_atom_site_fract_z
Ho1 Ho 0.000 0.194 0.000
Ge1 Ge 0.230 0.500 0.410
O1 O 0.000 0.500 0.500
O2 O 0.100 0.000 0.276
O3 O 0.240 0.341 0.213
```

---

VASP calculation (meta-GGA r2SCAN) on an optimized crystal structure of Zr5Sb4.

Calculated values
The energy comes out at -24.83 eV per atom. Its formation energy is -0.77 eV per atom.

Geometry as CIF:
```
data_Zr5Sb4
_symmetry_space_group_name_H-M 'P 63/m c m'
_symmetry_Int_Tables_number 193
_symmetry_space_group_name_Hall '-P 6c 2'
_cell_length_a 8.8146
_cell_length_b 8.8146
_cell_length_c 5.9551
_cell_angle_alpha 90.00
_cell_angle_beta 90.00
_cell_angle_gamma 120.00
loop_
_atom_site_label
_atom_site_type_symbol
_atom_site_fract_x
_atom_site_fract_y
_atom_site_fract_z
Zr1 Zr 0.0000 0.2804 0.2500
Zr2 Zr 0.3333 0.6667 0.0000
Sb1 Sb 0.0000 0.0000 0.0000
Sb2 Sb 0.0000 0.3900 0.7500
```

---

VASP calculation (meta-GGA r2SCAN) on an optimized crystal structure of DyBiPd.

Calculated values
The energy comes out at -38.86 eV per atom. Its formation energy is -1.05 eV per atom.

Geometry as CIF:
```
data_DyBiPd
_symmetry_space_group_name_H-M 'F -4 3 m'
_symmetry_Int_Tables_number 216
_symmetry_space_group_name_Hall 'F -4 2 3'
_cell_length_a 6.677
_cell_length_b 6.677
_cell_length_c 6.677
_cell_angle_alpha 90.00
_cell_angle_beta 90.00
_cell_angle_gamma 90.00
loop_
_atom_site_label
_atom_site_type_symbol
_atom_site_fract_x
_atom_site_fract_y
_atom_site_fract_z
Dy1 Dy 0.000 0.000 0.000
Bi1 Bi 0.000 0.000 0.500
Pd1 Pd 0.250 0.250 0.750
```

---

VASP calculation (meta-GGA r2SCAN) on an optimized crystal structure of HoTlPd.

Calculated values
The energy comes out at -37.07 eV per atom. Its formation energy is -0.73 eV per atom.

Geometry as CIF:
```
data_HoTlPd
_symmetry_space_group_name_H-M 'P -6 2 m'
_symmetry_Int_Tables_number 189
_symmetry_space_group_name_Hall 'P -6 -2'
_cell_length_a 7.7747
_cell_length_b 7.7747
_cell_length_c 3.7546
_cell_angle_alpha 90.00
_cell_angle_beta 90.00
_cell_angle_gamma 120.00
loop_
_atom_site_label
_atom_site_type_symbol
_atom_site_fract_x
_atom_site_fract_y
_atom_site_fract_z
Ho1 Ho 0.0000 0.5979 0.0000
Tl1 Tl 0.0000 0.2685 0.5000
Pd1 Pd 0.0000 0.0000 0.0000
Pd2 Pd 0.3333 0.6667 0.5000
```

---

VASP calculation (meta-GGA r2SCAN) on an optimized crystal structure of CeAlRh.

Calculated values
The energy comes out at -21.46 eV per atom. Its formation energy is -0.89 eV per atom.

Geometry as CIF:
```
data_CeAlRh
_symmetry_space_group_name_H-M 'P n m a'
_symmetry_Int_Tables_number 62
_cell_length_a 7.133
_cell_length_b 4.220
_cell_length_c 15.795
_cell_angle_alpha 90.00
_cell_angle_beta 90.00
_cell_angle_gamma 90.00
loop_
_symmetry_equiv_pos_as_xyz
'x,y,z'
'-x,-y,-z'
'-x+1/2,-y,z+1/2'
'x+1/2,y,-z+1/2'
'x+1/2,-y+1/2,-z+1/2'
'-x+1/2,y+1/2,z+1/2'
'-x,y+1/2,-z'
'x,-y+1/2,z'
loop_
_atom_site_label
_atom_site_type_symbol
_atom_site_fract_x
_atom_site_fract_y
_atom_site_fract_z
Ce1 Ce 0.029 0.250 0.220
Ce2 Ce 0.156 0.250 0.440
Al1 Al 0.006 0.250 0.939
Al2 Al 0.146 0.250 0.650
Rh1 Rh 0.214 0.250 0.076
Rh2 Rh 0.236 0.750 0.317
```